(1)
A plane-wave DFT calculation with meta-GGA r2SCAN was carried out for crystalline TmCuSb2 at its relaxed geometry.

Cell lengths 4.263, 4.263, 9.771 Å; angles 90.00, 90.00, 90.00 degrees
Atoms (fractional coordinates):
Sb  0.500  0.500  0.000
Cu  0.000  0.000  0.500
Tm  0.500  0.000  0.246
Cu  0.500  0.500  0.500
Sb  0.000  0.000  0.000
Tm  0.000  0.500  0.754
Sb  0.000  0.500  0.339
Sb  0.500  0.000  0.661

Values from the calculation:
energy of formation	-0.63	eV per atom
space-group type	P4/nmm


(2)
A plane-wave DFT calculation with meta-GGA r2SCAN was carried out for crystalline RbB5O8 at its relaxed geometry.

Cell lengths 7.490, 11.842, 14.842 Å; angles 90.00, 90.00, 90.00 degrees
Atoms (fractional coordinates):
O  0.140  0.207  0.805
O  0.552  0.635  0.329
O  0.448  0.365  0.671
B  0.586  0.399  0.214
O  0.948  0.365  0.829
B  0.307  0.566  0.457
O  0.927  0.205  0.927
O  0.683  0.176  0.064
O  0.595  0.986  0.090
B  0.976  0.025  0.345
O  0.448  0.135  0.171
O  0.405  0.486  0.410
B  0.476  0.025  0.155
B  0.909  0.092  0.918
O  0.073  0.795  0.073
B  0.449  0.725  0.374
B  0.914  0.899  0.214
O  0.804  0.027  0.975
Rb  0.562  0.210  0.379
O  0.614  0.441  0.299
O  0.140  0.293  0.305
O  0.073  0.705  0.573
B  0.591  0.908  0.418
O  0.994  0.035  0.849
B  0.449  0.775  0.874
O  0.386  0.559  0.701
O  0.360  0.793  0.305
B  0.051  0.275  0.874
O  0.640  0.293  0.195
B  0.524  0.525  0.345
Rb  0.562  0.290  0.879
O  0.006  0.965  0.152
B  0.409  0.092  0.582
Rb  0.938  0.790  0.879
O  0.304  0.473  0.025
O  0.696  0.527  0.975
B  0.024  0.525  0.155
B  0.551  0.275  0.626
B  0.524  0.975  0.845
O  0.905  0.486  0.090
B  0.193  0.066  0.457
B  0.051  0.225  0.374
O  0.817  0.824  0.564
O  0.696  0.973  0.475
B  0.976  0.475  0.845
B  0.024  0.975  0.655
B  0.414  0.899  0.286
O  0.886  0.559  0.798
O  0.905  0.014  0.590
O  0.948  0.135  0.329
B  0.193  0.434  0.957
O  0.095  0.986  0.410
O  0.595  0.514  0.590
B  0.949  0.725  0.126
O  0.304  0.027  0.525
O  0.183  0.176  0.436
O  0.994  0.465  0.348
B  0.586  0.101  0.714
O  0.427  0.295  0.073
O  0.927  0.295  0.427
B  0.409  0.408  0.082
Rb  0.438  0.790  0.621
O  0.196  0.527  0.525
O  0.094  0.514  0.910
O  0.683  0.324  0.564
B  0.086  0.101  0.786
B  0.591  0.592  0.918
O  0.006  0.535  0.651
O  0.640  0.207  0.695
B  0.949  0.775  0.626
O  0.506  0.965  0.348
B  0.414  0.601  0.786
O  0.317  0.676  0.436
B  0.551  0.225  0.126
O  0.573  0.705  0.927
B  0.091  0.908  0.082
O  0.114  0.441  0.201
Rb  0.938  0.710  0.379
B  0.807  0.934  0.543
O  0.860  0.707  0.695
B  0.909  0.408  0.418
Rb  0.062  0.290  0.621
B  0.307  0.934  0.957
O  0.317  0.824  0.936
O  0.506  0.535  0.849
O  0.552  0.865  0.829
O  0.860  0.793  0.195
O  0.183  0.324  0.936
O  0.052  0.865  0.671
O  0.386  0.941  0.201
Rb  0.062  0.210  0.121
O  0.360  0.707  0.805
B  0.086  0.399  0.286
O  0.573  0.795  0.427
O  0.052  0.635  0.171
B  0.476  0.475  0.655
O  0.494  0.465  0.152
O  0.406  0.014  0.910
B  0.091  0.592  0.582
O  0.804  0.473  0.475
O  0.614  0.059  0.798
B  0.807  0.566  0.043
O  0.114  0.059  0.701
O  0.196  0.973  0.025
Rb  0.438  0.710  0.121
B  0.693  0.434  0.543
O  0.886  0.941  0.299
O  0.494  0.035  0.651
O  0.427  0.205  0.573
B  0.914  0.601  0.714
B  0.693  0.066  0.043
O  0.817  0.676  0.064

Values from the calculation:
energy of formation	-2.60	eV per atom
space-group type	Pbca


(3)
A plane-wave DFT calculation with meta-GGA r2SCAN was carried out for crystalline Li2MgSi at its relaxed geometry.

Cell lengths 4.486, 4.486, 4.486 Å; angles 60.00, 60.00, 60.00 degrees
Atoms (fractional coordinates):
Li  0.500  0.500  0.500
Mg  0.250  0.250  0.250
Li  0.750  0.750  0.750
Si  0.000  0.000  0.000

Values from the calculation:
energy of formation	-0.27	eV per atom
space-group type	F-43m


(4)
A plane-wave DFT calculation with meta-GGA r2SCAN was carried out for crystalline VCl5 at its relaxed geometry.

Cell lengths 6.124, 6.633, 8.949 Å; angles 109.17, 90.85, 116.18 degrees
Atoms (fractional coordinates):
Cl  0.067  0.933  0.173
Cl  0.799  0.517  0.747
Cl  0.385  0.872  0.650
Cl  0.572  0.318  0.076
Cl  0.428  0.682  0.924
V  0.394  0.279  0.278
V  0.606  0.721  0.722
Cl  0.201  0.483  0.253
Cl  0.933  0.067  0.827
Cl  0.267  0.321  0.543
Cl  0.615  0.128  0.350
Cl  0.733  0.679  0.457

Values from the calculation:
energy of formation	-1.08	eV per atom
space-group type	P-1


(5)
A plane-wave DFT calculation with meta-GGA r2SCAN was carried out for crystalline LiEr2Rh at its relaxed geometry.

Cell lengths 4.857, 4.857, 4.857 Å; angles 60.00, 60.00, 60.00 degrees
Atoms (fractional coordinates):
Rh  0.750  0.750  0.750
Er  0.000  0.000  0.000
Er  0.500  0.500  0.500
Li  0.250  0.250  0.250

Values from the calculation:
energy of formation	-0.55	eV per atom
space-group type	Fm-3m


(6)
A plane-wave DFT calculation with meta-GGA r2SCAN was carried out for crystalline ZrTl4Se4 at its relaxed geometry.

Cell lengths 9.452, 9.454, 16.282 Å; angles 104.14, 105.02, 90.12 degrees
Atoms (fractional coordinates):
Tl  0.952  0.917  0.199
Se  0.757  0.969  0.807
Tl  0.391  0.701  0.191
Tl  0.379  0.093  0.389
Zr  0.983  0.314  0.401
Se  0.927  0.771  0.981
Se  0.449  0.380  0.198
Se  0.070  0.395  0.580
Se  0.291  0.758  0.604
Se  0.551  0.620  0.802
Tl  0.224  0.452  0.795
Se  0.096  0.741  0.778
Se  0.910  0.417  0.820
Se  0.090  0.583  0.180
Tl  0.609  0.299  0.809
Se  0.744  0.615  0.621
Zr  0.178  0.306  0.199
Tl  0.418  0.902  0.800
Se  0.930  0.605  0.420
Tl  0.393  0.281  0.001
Zr  0.000  0.500  0.000
Se  0.938  0.956  0.598
Tl  0.226  0.898  0.992
Tl  0.778  0.912  0.404
Tl  0.783  0.280  0.600
Se  0.724  0.428  0.004
Tl  0.217  0.720  0.400
Tl  0.048  0.083  0.801
Se  0.256  0.385  0.379
Zr  0.017  0.686  0.599
Tl  0.607  0.719  0.999
Tl  0.776  0.548  0.205
Se  0.062  0.044  0.402
Tl  0.621  0.907  0.611
Tl  0.582  0.098  0.200
Zr  0.822  0.694  0.801
Se  0.276  0.572  0.996
Tl  0.222  0.088  0.596
Se  0.709  0.242  0.396
Se  0.243  0.031  0.193
Tl  0.774  0.102  0.008
Se  0.073  0.229  0.019
Tl  0.587  0.535  0.401
Se  0.904  0.259  0.222
Tl  0.413  0.465  0.599

Values from the calculation:
energy of formation	-0.87	eV per atom
space-group type	P-1


(7)
A plane-wave DFT calculation with meta-GGA r2SCAN was carried out for crystalline Sc7NCl12 at its relaxed geometry.

Cell lengths 8.052, 8.052, 8.052 Å; angles 107.54, 107.54, 107.54 degrees
Atoms (fractional coordinates):
Cl  0.225  0.687  0.077
Cl  0.923  0.775  0.313
Cl  0.618  0.847  0.539
Sc  0.500  0.500  0.500
Cl  0.539  0.618  0.847
Sc  0.100  0.301  0.028
Cl  0.153  0.461  0.382
Sc  0.699  0.972  0.900
Sc  0.900  0.699  0.972
Cl  0.847  0.539  0.618
Cl  0.313  0.923  0.775
Cl  0.382  0.153  0.461
Cl  0.775  0.313  0.923
Sc  0.301  0.028  0.100
Cl  0.077  0.225  0.687
Sc  0.028  0.100  0.301
Cl  0.461  0.382  0.153
Cl  0.687  0.077  0.225
Sc  0.972  0.900  0.699
N  0.000  0.000  0.000

Values from the calculation:
energy of formation	-2.15	eV per atom
space-group type	R-3


(8)
A plane-wave DFT calculation with meta-GGA r2SCAN was carried out for crystalline Pr2Re3B6 at its relaxed geometry.

Cell lengths 6.330, 6.330, 7.632 Å; angles 89.44, 89.44, 114.90 degrees
Atoms (fractional coordinates):
Pr  0.092  0.441  0.673
B  0.849  0.759  0.632
B  0.158  0.585  0.020
Re  0.989  0.805  0.913
B  0.842  0.415  0.980
B  0.560  0.651  0.533
B  0.415  0.842  0.480
B  0.349  0.440  0.967
B  0.585  0.158  0.520
Pr  0.908  0.559  0.327
Pr  0.559  0.908  0.827
Pr  0.441  0.092  0.173
B  0.440  0.349  0.467
B  0.151  0.241  0.368
Re  0.583  0.417  0.750
Re  0.011  0.195  0.087
Re  0.417  0.583  0.250
Re  0.805  0.989  0.413
B  0.759  0.849  0.132
Re  0.195  0.011  0.587
B  0.651  0.560  0.033
B  0.241  0.151  0.868

Values from the calculation:
energy of formation	-0.47	eV per atom
space-group type	C2/c


(9)
A plane-wave DFT calculation with meta-GGA r2SCAN was carried out for crystalline Si2Ni3H4O9 at its relaxed geometry.

Cell lengths 5.288, 5.288, 7.209 Å; angles 90.00, 90.00, 120.00 degrees
Atoms (fractional coordinates):
O  0.335  0.335  0.593
Si  0.667  0.333  0.109
Ni  0.668  0.668  0.728
H  0.655  0.000  0.459
H  0.345  0.345  0.459
O  0.667  0.333  0.887
O  0.000  0.000  0.877
Ni  0.332  0.000  0.728
O  0.665  0.000  0.593
Si  0.333  0.667  0.109
H  0.000  0.000  0.011
Ni  0.000  0.332  0.728
O  0.000  0.520  0.193
H  0.000  0.655  0.459
O  0.333  0.667  0.887
O  0.520  0.000  0.193
O  0.000  0.665  0.593
O  0.480  0.480  0.193

Values from the calculation:
energy of formation	-1.79	eV per atom
space-group type	P31m


(10)
A plane-wave DFT calculation with meta-GGA r2SCAN was carried out for crystalline UBi2 at its relaxed geometry.

Cell lengths 4.512, 4.512, 9.116 Å; angles 90.00, 90.00, 90.00 degrees
Atoms (fractional coordinates):
Bi  0.750  0.750  0.647
Bi  0.250  0.750  0.000
Bi  0.250  0.250  0.353
Bi  0.750  0.250  0.000
U  0.750  0.750  0.283
U  0.250  0.250  0.717

Values from the calculation:
energy of formation	-0.23	eV per atom
space-group type	P4/nmm


(11)
A plane-wave DFT calculation with meta-GGA r2SCAN was carried out for crystalline Ti3B4 at its relaxed geometry.

Cell lengths 3.035, 3.260, 7.215 Å; angles 103.06, 102.14, 90.00 degrees
Atoms (fractional coordinates):
B  0.868  0.368  0.736
B  0.132  0.632  0.264
Ti  0.315  0.815  0.629
B  0.436  0.436  0.871
B  0.564  0.564  0.129
Ti  0.000  0.000  0.000
Ti  0.685  0.185  0.371

Values from the calculation:
energy of formation	-0.98	eV per atom
space-group type	Immm


(12)
A plane-wave DFT calculation with meta-GGA r2SCAN was carried out for crystalline Nd4Au2O9 at its relaxed geometry.

Cell lengths 6.151, 11.971, 11.987 Å; angles 90.00, 90.00, 90.00 degrees
Atoms (fractional coordinates):
O  0.886  0.922  0.088
Au  0.419  0.272  0.489
Nd  0.302  0.841  0.764
O  0.060  0.164  0.147
O  0.386  0.422  0.412
O  0.024  0.500  0.750
Au  0.581  0.728  0.511
Nd  0.258  0.012  0.411
O  0.875  0.302  0.343
O  0.375  0.802  0.157
O  0.941  0.384  0.553
O  0.386  0.578  0.088
Nd  0.258  0.988  0.089
O  0.940  0.836  0.853
Nd  0.242  0.488  0.911
O  0.059  0.384  0.053
O  0.875  0.698  0.157
Nd  0.758  0.488  0.411
Au  0.081  0.228  0.989
O  0.125  0.698  0.657
Au  0.081  0.772  0.511
O  0.614  0.578  0.588
O  0.559  0.116  0.053
O  0.941  0.616  0.947
O  0.059  0.616  0.447
O  0.441  0.116  0.553
O  0.440  0.336  0.647
Nd  0.198  0.341  0.236
O  0.614  0.422  0.912
O  0.060  0.836  0.353
O  0.886  0.078  0.412
O  0.476  0.000  0.250
O  0.441  0.884  0.947
O  0.125  0.302  0.843
Nd  0.802  0.659  0.764
O  0.560  0.664  0.353
Nd  0.742  0.988  0.589
O  0.559  0.884  0.447
O  0.524  0.000  0.750
O  0.940  0.164  0.647
Au  0.419  0.728  0.011
Nd  0.242  0.512  0.589
Au  0.919  0.228  0.489
O  0.625  0.198  0.843
O  0.560  0.336  0.147
Nd  0.698  0.841  0.264
Nd  0.698  0.159  0.236
O  0.625  0.802  0.657
Nd  0.802  0.341  0.736
O  0.114  0.922  0.588
Nd  0.302  0.159  0.736
Au  0.581  0.272  0.989
Nd  0.758  0.512  0.089
Nd  0.198  0.659  0.264
Au  0.919  0.772  0.011
Nd  0.742  0.012  0.911
O  0.440  0.664  0.853
O  0.976  0.500  0.250
O  0.375  0.198  0.343
O  0.114  0.078  0.912

Values from the calculation:
energy of formation	-2.62	eV per atom
space-group type	Pbcn